# 1
Below is a relaxed structure of La3Ti4O12, with properties calculated at the GGA-PBE level.

a = 5.552 Å, b = 5.552 Å, c = 7.836 Å
α = 90.00°, β = 90.00°, γ = 90.69°
Fractional coordinates of all 19 atoms:
1 La 0.257 0.743 0.000
2 La 0.256 0.744 0.500
3 La 0.750 0.250 0.000
4 Ti 0.251 0.248 0.743
5 Ti 0.251 0.248 0.257
6 Ti 0.752 0.749 0.743
7 Ti 0.752 0.749 0.257
8 O 0.999 0.001 0.801
9 O 0.999 0.001 0.199
10 O 0.006 0.508 0.764
11 O 0.006 0.508 0.236
12 O 0.223 0.205 0.500
13 O 0.299 0.290 0.000
14 O 0.492 0.994 0.764
15 O 0.492 0.994 0.236
16 O 0.482 0.518 0.721
17 O 0.482 0.518 0.279
18 O 0.710 0.701 0.000
19 O 0.795 0.777 0.500

## Properties
Size of the total moment: 0.23 μB per formula unit
Theoretical density: 5.5 g/cm3
Energy of formation from the pure elements: -3694 meV per atom



# 2
Below is a relaxed structure of LaY3Ti4O14, with properties calculated at the GGA-PBE level.

a = 7.258 Å, b = 7.258 Å, c = 7.258 Å
α = 60.08°, β = 60.08°, γ = 60.08°
Fractional coordinates of all 22 atoms:
1 La 0.500 0.500 0.500
2 Y 0.000 0.500 0.500
3 Y 0.500 0.500 0.000
4 Y 0.500 0.000 0.500
5 Ti 0.000 0.000 0.000
6 Ti 0.500 0.000 0.000
7 Ti 0.000 0.000 0.500
8 Ti 0.000 0.500 0.000
9 O 0.926 0.327 0.327
10 O 0.328 0.922 0.922
11 O 0.327 0.327 0.926
12 O 0.922 0.922 0.328
13 O 0.922 0.328 0.922
14 O 0.327 0.926 0.327
15 O 0.074 0.673 0.673
16 O 0.672 0.078 0.078
17 O 0.673 0.673 0.074
18 O 0.078 0.078 0.672
19 O 0.078 0.672 0.078
20 O 0.673 0.074 0.673
21 O 0.370 0.370 0.370
22 O 0.630 0.630 0.630

## Properties
Size of the total moment: 0.00 μB per formula unit
Theoretical density: 5.0 g/cm3
Energy of formation from the pure elements: -3746 meV per atom



# 3
Below is a relaxed structure of La3YTi4O14, with properties calculated at the GGA-PBE level.

a = 7.363 Å, b = 7.363 Å, c = 7.363 Å
α = 60.09°, β = 60.09°, γ = 60.09°
Fractional coordinates of all 22 atoms:
1 La 0.000 0.500 0.500
2 La 0.500 0.500 0.000
3 La 0.500 0.000 0.500
4 Y 0.500 0.500 0.500
5 Ti 0.000 0.000 0.000
6 Ti 0.500 0.000 0.000
7 Ti 0.000 0.000 0.500
8 Ti 0.000 0.500 0.000
9 O 0.380 0.380 0.380
10 O 0.620 0.620 0.620
11 O 0.922 0.325 0.325
12 O 0.324 0.926 0.926
13 O 0.325 0.325 0.922
14 O 0.926 0.926 0.324
15 O 0.926 0.324 0.926
16 O 0.325 0.922 0.325
17 O 0.078 0.675 0.675
18 O 0.676 0.074 0.074
19 O 0.675 0.675 0.078
20 O 0.074 0.074 0.676
21 O 0.074 0.676 0.074
22 O 0.675 0.078 0.675

## Properties
Size of the total moment: 0.00 μB per formula unit
Theoretical density: 5.4 g/cm3
Energy of formation from the pure elements: -3737 meV per atom



# 4
Below is a relaxed structure of LaTmO3, with properties calculated at the GGA-PBE level.

a = 5.857 Å, b = 6.051 Å, c = 8.468 Å
α = 90.00°, β = 90.00°, γ = 90.00°
Fractional coordinates of all 20 atoms:
1 La 0.985 0.048 0.250
2 La 0.485 0.452 0.750
3 La 0.515 0.548 0.250
4 La 0.015 0.952 0.750
5 Tm 0.000 0.500 0.000
6 Tm 0.500 0.000 0.000
7 Tm 0.500 0.000 0.500
8 Tm 0.000 0.500 0.500
9 O 0.306 0.695 0.566
10 O 0.806 0.805 0.434
11 O 0.194 0.195 0.934
12 O 0.694 0.305 0.066
13 O 0.694 0.305 0.434
14 O 0.194 0.195 0.566
15 O 0.806 0.805 0.066
16 O 0.306 0.695 0.934
17 O 0.124 0.445 0.250
18 O 0.624 0.055 0.750
19 O 0.376 0.945 0.250
20 O 0.876 0.555 0.750

## Properties
Size of the total moment: 0.00 μB per formula unit
Theoretical density: 7.9 g/cm3
Energy of formation from the pure elements: -3963 meV per atom



# 5
Below is a relaxed structure of La2U3O11, with properties calculated at the GGA-PBE level.

a = 10.190 Å, b = 10.190 Å, c = 10.190 Å
α = 158.15°, β = 148.07°, γ = 39.03°
Fractional coordinates of all 16 atoms:
1 La 0.700 0.700 0.000
2 La 0.300 0.300 0.000
3 U 0.906 0.906 0.000
4 U 0.500 0.500 0.000
5 U 0.094 0.094 0.000
6 O 0.829 0.595 0.234
7 O 0.639 0.405 0.234
8 O 0.284 0.000 0.284
9 O 0.412 0.186 0.227
10 O 0.041 0.814 0.227
11 O 0.361 0.595 0.766
12 O 0.171 0.405 0.766
13 O 0.716 0.000 0.716
14 O 0.959 0.186 0.773
15 O 0.588 0.814 0.773
16 O 0.000 0.500 0.500

## Properties
Size of the total moment: 2.00 μB per formula unit
Theoretical density: 9.3 g/cm3
Energy of formation from the pure elements: -3602 meV per atom



# 6
Below is a relaxed structure of La6UO12, with properties calculated at the GGA-PBE level.

a = 6.931 Å, b = 6.931 Å, c = 6.931 Å
α = 98.69°, β = 98.69°, γ = 98.69°
Fractional coordinates of all 19 atoms:
1 La 0.311 0.606 0.144
2 La 0.606 0.144 0.311
3 La 0.394 0.856 0.689
4 La 0.689 0.394 0.856
5 La 0.856 0.689 0.394
6 La 0.144 0.311 0.606
7 U 0.000 0.000 0.000
8 O 0.437 0.177 0.593
9 O 0.929 0.705 0.044
10 O 0.177 0.593 0.437
11 O 0.823 0.407 0.563
12 O 0.563 0.823 0.407
13 O 0.593 0.437 0.177
14 O 0.407 0.563 0.823
15 O 0.956 0.071 0.295
16 O 0.044 0.929 0.705
17 O 0.705 0.044 0.929
18 O 0.071 0.295 0.956
19 O 0.295 0.956 0.071

## Properties
Theoretical density: 6.6 g/cm3
Energy of formation from the pure elements: -3940 meV per atom